Entry one
The following is a DFT calculation (PBE-GGA) of NaAlS2O8 after structural relaxation.

Output
Magnetic moment = 0.0 μB/f.u.
SG = Pnma

Cell lengths 5.035, 13.994, 8.186 Å; angles 90.00, 90.00, 90.00 degrees
Fractional coordinates of all 48 atoms:
S: 0.250 0.057 0.808
S: 0.750 0.832 0.752
S: 0.750 0.443 0.308
S: 0.750 0.332 0.748
S: 0.250 0.168 0.248
S: 0.250 0.668 0.252
S: 0.250 0.557 0.692
S: 0.750 0.943 0.192
O: 0.009 0.616 0.656
O: 0.250 0.567 0.217
O: 0.489 0.699 0.348
O: 0.250 0.972 0.914
O: 0.750 0.466 0.134
O: 0.250 0.723 0.094
O: 0.509 0.384 0.344
O: 0.011 0.699 0.348
O: 0.750 0.966 0.366
O: 0.991 0.884 0.156
O: 0.509 0.884 0.156
O: 0.489 0.199 0.152
O: 0.009 0.116 0.844
O: 0.011 0.199 0.152
O: 0.750 0.028 0.086
O: 0.250 0.534 0.866
O: 0.250 0.034 0.634
O: 0.511 0.801 0.848
O: 0.750 0.277 0.906
O: 0.491 0.116 0.844
O: 0.991 0.384 0.344
O: 0.250 0.223 0.406
O: 0.511 0.301 0.652
O: 0.491 0.616 0.656
O: 0.989 0.801 0.848
O: 0.250 0.067 0.283
O: 0.250 0.472 0.586
O: 0.989 0.301 0.652
O: 0.750 0.933 0.717
O: 0.750 0.433 0.783
O: 0.750 0.528 0.414
O: 0.750 0.777 0.594
Na: 0.750 0.082 0.580
Na: 0.750 0.582 0.920
Na: 0.250 0.418 0.080
Na: 0.250 0.918 0.420
Al: 0.750 0.653 0.496
Al: 0.750 0.153 0.004
Al: 0.250 0.847 0.996
Al: 0.250 0.347 0.504

Entry two
The following is a DFT calculation (PBE-GGA) of NaAlS2O8 after structural relaxation.

Output
Magnetic moment = 0.0 μB/f.u.
SG = C2/m

Cell lengths 4.711, 4.711, 7.309 Å; angles 87.46, 87.46, 65.06 degrees
Fractional coordinates of all 12 atoms:
O: 0.769 0.289 0.188
O: 0.770 0.770 0.060
O: 0.289 0.769 0.188
O: 0.231 0.711 0.812
O: 0.701 0.701 0.393
O: 0.299 0.299 0.607
O: 0.711 0.231 0.812
O: 0.230 0.230 0.940
S: 0.637 0.637 0.211
S: 0.363 0.363 0.789
Na: 0.000 0.000 0.500
Al: 0.000 0.000 0.000

Pick the least stable structure from those above. Pick: entry one